La8Al4I7 | GGA-PBE | relaxed

Cell lengths 18.079, 18.079, 27.931 Å; angles 116.84, 116.84, 13.78 degrees
Fractional positions:
La 0.002 0.002 0.077
La 0.012 0.012 0.263
La 0.023 0.023 0.419
La 0.172 0.172 0.747
La 0.193 0.193 0.103
La 0.210 0.210 0.434
La 0.359 0.359 0.521
La 0.375 0.375 0.687
La 0.385 0.385 0.859
La 0.392 0.392 0.025
La 0.402 0.402 0.202
La 0.416 0.416 0.377
La 0.584 0.584 0.623
La 0.598 0.598 0.798
La 0.608 0.608 0.975
La 0.615 0.615 0.141
La 0.625 0.625 0.313
La 0.641 0.641 0.479
La 0.790 0.790 0.566
La 0.807 0.807 0.897
La 0.828 0.828 0.253
La 0.977 0.977 0.581
La 0.988 0.988 0.737
La 0.998 0.998 0.923
Al 0.070 0.070 0.700
Al 0.088 0.088 0.046
Al 0.104 0.104 0.382
Al 0.441 0.441 0.639
Al 0.460 0.460 0.977
Al 0.478 0.478 0.323
Al 0.522 0.522 0.677
Al 0.540 0.540 0.023
Al 0.559 0.559 0.361
Al 0.896 0.896 0.618
Al 0.912 0.912 0.954
Al 0.930 0.930 0.300
I 0.079 0.079 0.206
I 0.104 0.104 0.540
I 0.135 0.135 0.902
I 0.195 0.195 0.311
I 0.217 0.217 0.556
I 0.283 0.283 0.800
I 0.290 0.290 0.970
I 0.301 0.301 0.157
I 0.315 0.315 0.328
I 0.473 0.473 0.152
I 0.500 0.500 0.500
I 0.527 0.527 0.848
I 0.685 0.685 0.672
I 0.699 0.699 0.843
I 0.710 0.710 0.030
I 0.717 0.717 0.200
I 0.783 0.783 0.444
I 0.805 0.805 0.689
I 0.865 0.865 0.098
I 0.896 0.896 0.460
I 0.921 0.921 0.794

The calculated volume is 646 Å³/f.u. The calculation puts the MP2020-corrected energy at -4.55 eV per atom. The energy above the most stable polymorph in this dataset is 0.000 eV/atom. The raw total energy comes out at -4.415 eV per atom. Its size of the total moment is 0.051 μB per atom. Its space group is C2/m (12).



La8Al4I7 | GGA-PBE | relaxed

Cell lengths 4.331, 18.138, 25.547 Å; angles 101.63, 94.83, 96.85 degrees
Fractional positions:
La 0.008 0.047 0.377
La 0.009 0.262 0.737
La 0.065 0.589 0.859
La 0.129 0.220 0.102
La 0.250 0.561 0.312
La 0.265 0.486 0.565
La 0.271 0.871 0.419
La 0.299 0.101 0.798
La 0.354 0.428 0.923
La 0.380 0.743 0.026
La 0.461 0.303 0.522
La 0.480 0.904 0.745
La 0.520 0.096 0.255
La 0.539 0.697 0.478
La 0.620 0.257 0.974
La 0.646 0.572 0.077
La 0.701 0.899 0.202
La 0.729 0.129 0.581
La 0.735 0.514 0.435
La 0.750 0.439 0.688
La 0.871 0.780 0.898
La 0.935 0.411 0.141
La 0.991 0.738 0.263
La 0.992 0.953 0.623
Al 0.051 0.328 0.618
Al 0.077 0.558 0.977
Al 0.287 0.134 0.678
Al 0.313 0.942 0.301
Al 0.322 0.367 0.046
Al 0.450 0.257 0.639
Al 0.550 0.743 0.361
Al 0.678 0.633 0.954
Al 0.687 0.058 0.699
Al 0.713 0.866 0.322
Al 0.923 0.442 0.023
Al 0.949 0.672 0.382
I 0.000 0.000 0.500
I 0.031 0.377 0.443
I 0.084 0.942 0.843
I 0.101 0.867 0.099
I 0.216 0.200 0.329
I 0.254 0.735 0.799
I 0.273 0.832 0.542
I 0.324 0.453 0.795
I 0.388 0.706 0.152
I 0.430 0.110 0.031
I 0.462 0.579 0.690
I 0.538 0.421 0.310
I 0.570 0.890 0.969
I 0.612 0.294 0.848
I 0.676 0.547 0.205
I 0.727 0.168 0.458
I 0.746 0.265 0.201
I 0.784 0.800 0.671
I 0.899 0.133 0.901
I 0.916 0.058 0.157
I 0.969 0.623 0.557

The calculated volume is 646 Å³/f.u. The calculation puts the MP2020-corrected energy at -4.33 eV per atom. The energy above the most stable polymorph in this dataset is 0.219 eV/atom. The raw total energy comes out at -4.195 eV per atom. Its size of the total moment is 0.104 μB per atom. Its space group is P-1 (2).



Rb3AlI6 | GGA-PBE | relaxed

Cell lengths 8.828, 8.828, 8.828 Å; angles 60.00, 60.00, 60.00 degrees
Fractional positions:
Rb 0.000 0.000 0.000
Rb 0.250 0.250 0.250
Rb 0.750 0.750 0.750
Al 0.500 0.500 0.500
I 0.278 0.278 0.722
I 0.278 0.722 0.278
I 0.278 0.722 0.722
I 0.722 0.278 0.278
I 0.722 0.278 0.722
I 0.722 0.722 0.278

The calculated volume is 486 Å³/f.u. The calculation puts the MP2020-corrected energy at -2.89 eV per atom. The raw total energy comes out at -2.665 eV per atom. Its size of the total moment is 0.000 μB per atom. Its space group is Fm-3m (225).



AlSbI6 | GGA-PBE | relaxed

Cell lengths 10.984, 10.984, 8.079 Å; angles 109.98, 109.98, 79.13 degrees
Fractional positions:
Al 0.196 0.196 0.349
Al 0.804 0.804 0.651
Sb 0.190 0.810 0.000
Sb 0.810 0.190 0.000
I 0.025 0.722 0.578
I 0.142 0.142 0.995
I 0.215 0.577 0.075
I 0.278 0.975 0.422
I 0.360 0.360 0.533
I 0.423 0.785 0.925
I 0.577 0.215 0.075
I 0.640 0.640 0.467
I 0.722 0.025 0.578
I 0.785 0.423 0.925
I 0.858 0.858 0.005
I 0.975 0.278 0.422

The calculated volume is 429 Å³/f.u. The calculation puts the MP2020-corrected energy at -2.92 eV per atom. The raw total energy comes out at -2.640 eV per atom. Its space group is C2/m (12).



Al3Te3I | GGA-PBE | relaxed

Cell lengths 11.670, 4.153, 21.308 Å; angles 90.00, 90.00, 90.00 degrees
Fractional positions:
Al 0.044 0.250 0.095
Al 0.164 0.250 0.995
Al 0.176 0.250 0.628
Al 0.324 0.750 0.128
Al 0.336 0.750 0.495
Al 0.456 0.750 0.595
Al 0.544 0.250 0.405
Al 0.664 0.250 0.505
Al 0.676 0.250 0.872
Al 0.824 0.750 0.372
Al 0.836 0.750 0.005
Al 0.956 0.750 0.905
Te 0.094 0.250 0.875
Te 0.186 0.250 0.503
Te 0.214 0.250 0.181
Te 0.286 0.750 0.681
Te 0.314 0.750 0.003
Te 0.406 0.750 0.375
Te 0.594 0.250 0.625
Te 0.686 0.250 0.997
Te 0.714 0.250 0.319
Te 0.786 0.750 0.819
Te 0.814 0.750 0.497
Te 0.906 0.750 0.125
I 0.030 0.750 0.336
I 0.470 0.250 0.836
I 0.530 0.750 0.164
I 0.970 0.250 0.664

The calculated volume is 258 Å³/f.u. The calculation puts the MP2020-corrected energy at -3.70 eV per atom. The raw total energy comes out at -3.647 eV per atom. Its size of the total moment is 0.000 μB per atom. Its space group is Pnma (62).



La8Al7InO24 | GGA-PBE | relaxed

Cell lengths 7.720, 7.720, 7.720 Å; angles 90.00, 90.00, 90.00 degrees
Fractional positions:
La 0.247 0.247 0.247
La 0.247 0.247 0.753
La 0.247 0.753 0.247
La 0.247 0.753 0.753
La 0.753 0.247 0.247
La 0.753 0.247 0.753
La 0.753 0.753 0.247
La 0.753 0.753 0.753
Al 0.000 0.000 0.000
Al 0.000 0.000 0.500
Al 0.000 0.500 0.000
Al 0.000 0.500 0.500
Al 0.500 0.000 0.000
Al 0.500 0.000 0.500
Al 0.500 0.500 0.000
In 0.500 0.500 0.500
O 0.000 0.000 0.248
O 0.000 0.000 0.752
O 0.000 0.247 0.500
O 0.000 0.248 0.000
O 0.000 0.500 0.247
O 0.000 0.500 0.753
O 0.000 0.752 0.000
O 0.000 0.753 0.500
O 0.233 0.500 0.500
O 0.247 0.000 0.500
O 0.247 0.500 0.000
O 0.248 0.000 0.000
O 0.500 0.000 0.247
O 0.500 0.000 0.753
O 0.500 0.233 0.500
O 0.500 0.247 0.000
O 0.500 0.500 0.233
O 0.500 0.500 0.767
O 0.500 0.753 0.000
O 0.500 0.767 0.500
O 0.752 0.000 0.000
O 0.753 0.000 0.500
O 0.753 0.500 0.000
O 0.767 0.500 0.500

The calculated volume is 460 Å³/f.u. The calculation puts the MP2020-corrected energy at -8.25 eV per atom. The raw total energy comes out at -7.836 eV per atom. Its size of the total moment is 0.000 μB per atom. Its space group is Pm-3m (221).



Mg17Al11In | GGA-PBE | relaxed

Cell lengths 9.161, 9.161, 9.202 Å; angles 109.41, 109.41, 109.21 degrees
Fractional positions:
Mg 0.000 0.000 0.000
Mg 0.026 0.629 0.024
Mg 0.035 0.035 0.629
Mg 0.062 0.742 0.744
Mg 0.337 0.686 0.337
Mg 0.339 0.339 0.339
Mg 0.342 0.658 0.944
Mg 0.344 0.945 0.657
Mg 0.345 0.345 0.685
Mg 0.629 0.026 0.024
Mg 0.657 0.949 0.339
Mg 0.658 0.342 0.944
Mg 0.686 0.337 0.337
Mg 0.741 0.741 0.055
Mg 0.742 0.062 0.744
Mg 0.945 0.344 0.657
Mg 0.949 0.657 0.339
Al 0.155 0.341 0.974
Al 0.157 0.976 0.341
Al 0.160 0.526 0.524
Al 0.341 0.155 0.974
Al 0.341 0.975 0.156
Al 0.519 0.519 0.144
Al 0.519 0.707 0.711
Al 0.526 0.160 0.524
Al 0.707 0.519 0.711
Al 0.975 0.341 0.156
Al 0.976 0.157 0.341
In 0.714 0.714 0.520

The calculated volume is 597 Å³/f.u. The raw total energy comes out at -2.478 eV per atom. Its size of the total moment is 0.000 μB per atom. Its space group is Cm (8).



AlInN2 | GGA-PBE | relaxed

Cell lengths 5.725, 5.725, 5.725 Å; angles 131.03, 131.03, 71.76 degrees
Fractional positions:
Al 0.000 0.000 0.000
Al 0.750 0.250 0.500
In 0.250 0.750 0.500
In 0.500 0.500 0.000
N 0.076 0.625 0.951
N 0.375 0.326 0.451
N 0.674 0.125 0.049
N 0.875 0.924 0.549

The calculated volume is 52 Å³/f.u. The calculation puts the MP2020-corrected energy at -6.59 eV per atom. The raw total energy comes out at -6.408 eV per atom. Its size of the total moment is 0.000 μB per atom. Its space group is I-42d (122).



Al2InN3 | GGA-PBE | relaxed

Cell lengths 5.672, 5.672, 5.248 Å; angles 90.00, 90.00, 59.80 degrees
Fractional positions:
Al 0.008 0.335 0.000
Al 0.335 0.008 0.500
Al 0.665 0.992 0.000
Al 0.992 0.665 0.500
In 0.322 0.678 0.995
In 0.678 0.322 0.495
N 0.037 0.334 0.364
N 0.298 0.702 0.415
N 0.334 0.037 0.864
N 0.666 0.963 0.364
N 0.702 0.298 0.915
N 0.963 0.666 0.864

The calculated volume is 73 Å³/f.u. The calculation puts the MP2020-corrected energy at -6.95 eV per atom. The raw total energy comes out at -6.766 eV per atom. Its space group is Cmc2_1 (36).



AlInN2 | GGA-PBE | relaxed

Cell lengths 5.763, 6.700, 5.411 Å; angles 90.00, 90.00, 90.00 degrees
Fractional positions:
Al 0.076 0.126 0.000
Al 0.424 0.626 0.500
Al 0.576 0.374 0.000
Al 0.924 0.874 0.500
In 0.091 0.624 0.997
In 0.409 0.124 0.497
In 0.591 0.876 0.997
In 0.909 0.376 0.497
N 0.059 0.103 0.351
N 0.105 0.648 0.404
N 0.395 0.148 0.904
N 0.441 0.603 0.851
N 0.559 0.397 0.351
N 0.605 0.852 0.404
N 0.895 0.352 0.904
N 0.941 0.897 0.851

The calculated volume is 52 Å³/f.u. The calculation puts the MP2020-corrected energy at -6.61 eV per atom. The raw total energy comes out at -6.426 eV per atom. Its size of the total moment is 0.000 μB per atom. Its space group is Pna2_1 (33).



AlInN2 | GGA-PBE | relaxed

Cell lengths 5.501, 11.027, 14.012 Å; angles 90.00, 90.00, 90.00 degrees
Fractional positions:
Al 0.169 0.023 0.188
Al 0.169 0.477 0.688
Al 0.215 0.715 0.562
Al 0.215 0.785 0.062
Al 0.285 0.215 0.562
Al 0.285 0.285 0.062
Al 0.331 0.523 0.188
Al 0.331 0.977 0.688
Al 0.669 0.023 0.312
Al 0.669 0.477 0.812
Al 0.715 0.715 0.938
Al 0.715 0.785 0.438
Al 0.785 0.215 0.938
Al 0.785 0.285 0.438
Al 0.831 0.523 0.312
Al 0.831 0.977 0.812
In 0.215 0.740 0.810
In 0.215 0.760 0.310
In 0.217 0.534 0.941
In 0.217 0.966 0.441
In 0.283 0.034 0.941
In 0.283 0.466 0.441
In 0.285 0.240 0.810
In 0.285 0.260 0.310
In 0.715 0.740 0.690
In 0.715 0.760 0.190
In 0.717 0.534 0.559
In 0.717 0.966 0.059
In 0.783 0.034 0.559
In 0.783 0.466 0.059
In 0.785 0.240 0.690
In 0.785 0.260 0.190
N 0.130 0.224 0.951
N 0.130 0.276 0.451
N 0.158 0.029 0.796
N 0.158 0.471 0.296
N 0.165 0.197 0.172
N 0.165 0.303 0.672
N 0.193 0.051 0.577
N 0.193 0.449 0.077
N 0.307 0.551 0.577
N 0.307 0.949 0.077
N 0.335 0.697 0.172
N 0.335 0.803 0.672
N 0.342 0.529 0.796
N 0.342 0.971 0.296
N 0.370 0.724 0.951
N 0.370 0.776 0.451
N 0.630 0.224 0.549
N 0.630 0.276 0.049
N 0.658 0.029 0.704
N 0.658 0.471 0.204
N 0.665 0.197 0.328
N 0.665 0.303 0.828
N 0.693 0.051 0.923
N 0.693 0.449 0.423
N 0.807 0.551 0.923
N 0.807 0.949 0.423
N 0.835 0.697 0.328
N 0.835 0.803 0.828
N 0.842 0.529 0.704
N 0.842 0.971 0.204
N 0.870 0.724 0.549
N 0.870 0.776 0.049

The calculated volume is 53 Å³/f.u. The calculation puts the MP2020-corrected energy at -6.47 eV per atom. The raw total energy comes out at -6.290 eV per atom. Its size of the total moment is 0.000 μB per atom. Its space group is Pbca (61).



| no. | energy of formation (eV per atom) |
| --- | --- |
| 1 | -1.1258 |
| 2 | -0.9066 |
| 3 | -1.3092 |
| 4 | -0.7968 |
| 5 | -0.5306 |
| 6 | -3.5676 |
| 7 | -0.0247 |
| 8 | -0.7959 |
| 9 | -1.0710 |
| 10 | -0.8142 |
| 11 | -0.6776 |